[1]
The following is a r²SCAN calculation of a geometry-optimized Mg3As2O8 structure, from the Materials Project database.

abc: 8.325 5.319 9.014
angles: 59.65 90.00 90.00
Fractional coordinates of all 26 atoms:
Mg (0.000, 0.500, 0.500)
Mg (0.356, 0.499, 0.602)
Mg (0.856, 0.501, 0.898)
Mg (0.500, 0.500, 0.000)
Mg (0.144, 0.499, 0.102)
Mg (0.644, 0.501, 0.398)
As (0.304, 0.850, 0.194)
As (0.804, 0.150, 0.306)
As (0.196, 0.850, 0.694)
As (0.696, 0.150, 0.806)
O (0.875, 0.329, 0.741)
O (0.436, 0.702, 0.360)
O (0.647, 0.233, 0.959)
O (0.802, 0.788, 0.385)
O (0.147, 0.767, 0.541)
O (0.375, 0.671, 0.759)
O (0.302, 0.212, 0.115)
O (0.936, 0.298, 0.140)
O (0.064, 0.702, 0.860)
O (0.698, 0.788, 0.885)
O (0.625, 0.329, 0.241)
O (0.853, 0.233, 0.459)
O (0.198, 0.212, 0.615)
O (0.353, 0.767, 0.041)
O (0.564, 0.298, 0.640)
O (0.125, 0.671, 0.259)

---

[2]
The following is a r²SCAN calculation of a geometry-optimized PrHoIn2 structure, from the Materials Project database.

abc: 5.391 5.391 5.391
angles: 60.00 60.00 60.00
Fractional coordinates of all 4 atoms:
Pr (0.000, 0.000, 0.000)
Ho (0.500, 0.500, 0.500)
In (0.250, 0.250, 0.250)
In (0.750, 0.750, 0.750)

---

[3]
The following is a r²SCAN calculation of a geometry-optimized Rb3IO5 structure, from the Materials Project database.

abc: 8.486 8.832 9.307
angles: 90.00 90.00 90.00
Fractional coordinates of all 36 atoms:
Rb (0.946, 0.250, 0.750)
Rb (0.554, 0.750, 0.750)
Rb (0.054, 0.750, 0.250)
Rb (0.446, 0.250, 0.250)
Rb (0.750, 0.500, 0.019)
Rb (0.750, 0.000, 0.481)
Rb (0.250, 0.500, 0.981)
Rb (0.250, 0.000, 0.519)
Rb (0.750, 0.500, 0.482)
Rb (0.750, 0.000, 0.018)
Rb (0.250, 0.500, 0.518)
Rb (0.250, 0.000, 0.982)
I (0.487, 0.250, 0.750)
I (0.013, 0.750, 0.750)
I (0.513, 0.750, 0.250)
I (0.987, 0.250, 0.250)
O (0.272, 0.250, 0.750)
O (0.228, 0.750, 0.750)
O (0.728, 0.750, 0.250)
O (0.772, 0.250, 0.250)
O (0.586, 0.066, 0.750)
O (0.914, 0.934, 0.750)
O (0.586, 0.434, 0.750)
O (0.914, 0.566, 0.750)
O (0.414, 0.934, 0.250)
O (0.086, 0.066, 0.250)
O (0.414, 0.566, 0.250)
O (0.086, 0.434, 0.250)
O (0.492, 0.250, 0.950)
O (0.008, 0.750, 0.950)
O (0.492, 0.250, 0.550)
O (0.008, 0.750, 0.550)
O (0.508, 0.750, 0.050)
O (0.992, 0.250, 0.050)
O (0.508, 0.750, 0.450)
O (0.992, 0.250, 0.450)

---

Calculated values (eV/atom) of energy of formation for the records, taken in order: -2.235, -0.588, -1.272.